1.
Density functional theory data (GGA+U) for an optimized crystal structure of Li16Fe4SiO16.

Properties
**Corrected total energy (MP2020 scheme)**: -6.098 eV per atom
**DFT formation energy**: -2.0702 eV per atom
**M_tot**: 0.540 μB per atom
**Raw total energy**: -5.5566 eV per atom

a b c (Å): 5.480 6.407 10.964
angles (deg): 89.05 89.86 89.55
Atoms (fractional coordinates):
1 Li 0.109 0.020 0.659
2 Li 0.399 0.016 0.158
3 Li 0.125 0.243 0.411
4 Li 0.357 0.232 0.934
5 Li 0.975 0.222 0.824
6 Li 0.510 0.294 0.309
7 Li 0.403 0.485 0.131
8 Li 0.835 0.522 0.350
9 Li 0.658 0.515 0.845
10 Li 0.059 0.550 0.174
11 Li 0.835 0.761 0.572
12 Li 0.673 0.754 0.077
13 Li 0.458 0.844 0.699
14 Li 0.055 0.939 0.177
15 Li 0.803 0.980 0.348
16 Li 0.646 0.993 0.854
17 Fe 0.663 0.252 0.587
18 Fe 0.838 0.251 0.083
19 Fe 0.338 0.740 0.404
20 Fe 0.139 0.767 0.915
21 Si 0.171 0.503 0.665
22 O 0.752 0.006 0.672
23 O 0.732 0.010 0.171
24 O 0.703 0.254 0.924
25 O 0.300 0.299 0.597
26 O 0.767 0.249 0.428
27 O 0.188 0.254 0.087
28 O 0.872 0.458 0.678
29 O 0.727 0.485 0.176
30 O 0.223 0.498 0.326
31 O 0.286 0.532 0.804
32 O 0.673 0.741 0.428
33 O 0.802 0.750 0.914
34 O 0.208 0.727 0.588
35 O 0.261 0.753 0.077
36 O 0.217 0.988 0.329
37 O 0.258 0.004 0.823

=====

2.
Density functional theory data (GGA+U) for an optimized crystal structure of LiFeSiO4.

Properties
**Corrected total energy (MP2020 scheme)**: -7.573 eV per atom
**DFT formation energy**: -2.4877 eV per atom
**M_tot**: 0.714 μB per atom
**Raw total energy**: -6.8580 eV per atom

a b c (Å): 8.081 8.750 17.490
angles (deg): 60.34 90.00 90.00
Atoms (fractional coordinates):
1 Li 0.475 0.221 0.059
2 Li 0.538 0.869 0.408
3 Li 0.345 0.501 0.750
4 Li 0.845 0.499 0.750
5 Li 0.038 0.131 0.092
6 Li 0.975 0.779 0.441
7 Li 0.025 0.221 0.559
8 Li 0.962 0.869 0.908
9 Li 0.155 0.501 0.250
10 Li 0.655 0.499 0.250
11 Li 0.462 0.131 0.592
12 Li 0.525 0.779 0.941
13 Fe 0.776 0.860 0.594
14 Fe 0.710 0.183 0.230
15 Fe 0.781 0.460 0.928
16 Fe 0.281 0.540 0.572
17 Fe 0.210 0.817 0.270
18 Fe 0.276 0.140 0.906
19 Fe 0.724 0.860 0.094
20 Fe 0.790 0.183 0.730
21 Fe 0.719 0.460 0.428
22 Fe 0.219 0.540 0.072
23 Fe 0.290 0.817 0.770
24 Fe 0.224 0.140 0.406
25 Si 0.172 0.854 0.592
26 Si 0.324 0.187 0.227
27 Si 0.173 0.464 0.925
28 Si 0.673 0.536 0.575
29 Si 0.824 0.813 0.273
30 Si 0.672 0.146 0.908
31 Si 0.328 0.854 0.092
32 Si 0.176 0.187 0.727
33 Si 0.327 0.464 0.425
34 Si 0.827 0.536 0.075
35 Si 0.676 0.813 0.773
36 Si 0.828 0.146 0.408
37 O 0.007 0.076 0.392
38 O 0.854 0.322 0.136
39 O 0.717 0.970 0.473
40 O 0.774 0.627 0.804
41 O 0.286 0.418 0.013
42 O 0.501 0.233 0.173
43 O 0.360 0.082 0.334
44 O 0.271 0.737 0.686
45 O 0.995 0.362 0.961
46 O 0.139 0.734 0.544
47 O 0.268 0.387 0.867
48 O 0.215 0.064 0.199
49 O 0.768 0.613 0.633
50 O 0.715 0.936 0.301
51 O 0.639 0.266 0.956
52 O 0.495 0.638 0.539
53 O 0.771 0.263 0.814
54 O 0.860 0.918 0.166
55 O 0.001 0.767 0.327
56 O 0.274 0.373 0.696
57 O 0.786 0.582 0.487
58 O 0.217 0.030 0.027
59 O 0.354 0.678 0.364
60 O 0.507 0.924 0.108
61 O 0.493 0.076 0.892
62 O 0.646 0.322 0.636
63 O 0.783 0.970 0.973
64 O 0.214 0.418 0.513
65 O 0.726 0.627 0.304
66 O 0.999 0.233 0.673
67 O 0.140 0.082 0.834
68 O 0.229 0.737 0.186
69 O 0.505 0.362 0.461
70 O 0.361 0.734 0.044
71 O 0.285 0.064 0.699
72 O 0.232 0.387 0.367
73 O 0.785 0.936 0.801
74 O 0.732 0.613 0.133
75 O 0.861 0.266 0.456
76 O 0.005 0.638 0.039
77 O 0.729 0.263 0.314
78 O 0.640 0.918 0.666
79 O 0.499 0.767 0.827
80 O 0.714 0.582 0.987
81 O 0.226 0.373 0.196
82 O 0.283 0.030 0.527
83 O 0.146 0.678 0.864
84 O 0.993 0.924 0.608

=====

3.
Density functional theory data (GGA+U) for an optimized crystal structure of Li4Fe3Si3O12.

Properties
**Corrected total energy (MP2020 scheme)**: -7.378 eV per atom
**DFT formation energy**: -2.4371 eV per atom
**M_tot**: 0.636 μB per atom
**Raw total energy**: -6.6956 eV per atom

a b c (Å): 4.328 11.913 5.457
angles (deg): 83.03 66.64 79.53
Atoms (fractional coordinates):
1 Li 0.330 0.420 0.918
2 Li 0.002 0.246 0.749
3 Li 0.331 0.918 0.423
4 Li 0.005 0.749 0.244
5 Fe 0.671 0.833 0.833
6 Fe 0.002 0.503 0.489
7 Fe 0.327 0.164 0.177
8 Si 0.333 0.667 0.664
9 Si 0.670 0.333 0.333
10 Si 0.997 0.000 0.003
11 O 0.193 0.114 0.916
12 O 0.556 0.553 0.751
13 O 0.980 0.711 0.916
14 O 0.302 0.371 0.585
15 O 0.941 0.956 0.751
16 O 0.561 0.775 0.558
17 O 0.232 0.633 0.422
18 O 0.227 0.892 0.109
19 O 0.897 0.227 0.441
20 O 0.620 0.034 0.245
21 O 0.898 0.440 0.226
22 O 0.591 0.295 0.082

=====

4.
Density functional theory data (GGA+U) for an optimized crystal structure of LiFeSiO4.

Properties
**Corrected total energy (MP2020 scheme)**: -7.550 eV per atom
**DFT formation energy**: -2.4646 eV per atom
**M_tot**: 0.000 μB per atom
**Raw total energy**: -6.8349 eV per atom

a b c (Å): 5.607 5.919 7.941
angles (deg): 90.00 90.00 90.00
Atoms (fractional coordinates):
1 Li 0.750 0.750 0.250
2 Li 0.250 0.250 0.750
3 Li 0.250 0.750 0.250
4 Li 0.750 0.250 0.750
5 Fe 0.500 0.000 0.000
6 Fe 0.000 0.000 0.500
7 Fe 0.000 0.500 0.500
8 Fe 0.500 0.500 0.000
9 Si 0.000 0.250 0.133
10 Si 0.500 0.750 0.633
11 Si 0.000 0.750 0.867
12 Si 0.500 0.250 0.367
13 O 0.000 0.482 0.249
14 O 0.500 0.982 0.749
15 O 0.000 0.018 0.249
16 O 0.500 0.518 0.749
17 O 0.000 0.982 0.751
18 O 0.500 0.482 0.251
19 O 0.000 0.518 0.751
20 O 0.500 0.018 0.251
21 O 0.743 0.750 0.506
22 O 0.243 0.250 0.006
23 O 0.257 0.750 0.506
24 O 0.757 0.250 0.006
25 O 0.743 0.250 0.494
26 O 0.243 0.750 0.994
27 O 0.257 0.250 0.494
28 O 0.757 0.750 0.994

=====

5.
Density functional theory data (GGA+U) for an optimized crystal structure of Li2FeSiO4.

Properties
**Corrected total energy (MP2020 scheme)**: -7.179 eV per atom
**DFT formation energy**: -2.4907 eV per atom
**M_tot**: 0.500 μB per atom
**Raw total energy**: -6.5534 eV per atom

a b c (Å): 5.264 6.917 10.263
angles (deg): 89.31 90.00 90.00
Atoms (fractional coordinates):
1 Li 0.237 0.004 0.845
2 Li 0.263 0.004 0.345
3 Li 0.371 0.225 0.651
4 Li 0.129 0.225 0.151
5 Li 0.871 0.775 0.849
6 Li 0.629 0.775 0.349
7 Li 0.737 0.996 0.655
8 Li 0.763 0.996 0.155
9 Fe 0.253 0.497 0.859
10 Fe 0.753 0.503 0.641
11 Fe 0.247 0.497 0.359
12 Fe 0.747 0.503 0.141
13 Si 0.740 0.240 0.898
14 Si 0.760 0.240 0.398
15 Si 0.240 0.760 0.602
16 Si 0.260 0.760 0.102
17 O 0.864 0.050 0.834
18 O 0.636 0.050 0.334
19 O 0.430 0.247 0.866
20 O 0.709 0.248 0.558
21 O 0.070 0.247 0.366
22 O 0.861 0.448 0.836
23 O 0.791 0.248 0.058
24 O 0.639 0.448 0.336
25 O 0.361 0.552 0.664
26 O 0.209 0.752 0.942
27 O 0.139 0.552 0.164
28 O 0.930 0.753 0.634
29 O 0.291 0.752 0.442
30 O 0.570 0.753 0.134
31 O 0.364 0.950 0.666
32 O 0.136 0.950 0.166

=====

6.
Density functional theory data (GGA+U) for an optimized crystal structure of LiFeSiO4.

Properties
**Corrected total energy (MP2020 scheme)**: -7.610 eV per atom
**DFT formation energy**: -2.5248 eV per atom
**M_tot**: 0.000 μB per atom
**Raw total energy**: -6.8951 eV per atom

a b c (Å): 10.185 10.185 16.398
angles (deg): 82.35 82.35 58.63
Atoms (fractional coordinates):
1 Li 0.205 0.807 0.003
2 Li 0.807 0.205 0.503
3 Li 0.703 0.577 0.253
4 Li 0.264 0.076 0.251
5 Li 0.140 0.307 0.001
6 Li 0.577 0.703 0.753
7 Li 0.706 0.806 0.004
8 Li 0.076 0.264 0.751
9 Li 0.307 0.140 0.501
10 Li 0.806 0.706 0.504
11 Li 0.204 0.567 0.252
12 Li 0.765 0.084 0.254
13 Li 0.640 0.307 0.002
14 Li 0.567 0.204 0.752
15 Li 0.084 0.765 0.754
16 Li 0.307 0.640 0.502
17 Fe 0.879 0.272 0.128
18 Fe 0.446 0.773 0.128
19 Fe 0.272 0.879 0.628
20 Fe 0.773 0.446 0.628
21 Fe 0.004 0.321 0.378
22 Fe 0.508 0.881 0.379
23 Fe 0.321 0.004 0.878
24 Fe 0.881 0.508 0.879
25 Fe 0.377 0.275 0.127
26 Fe 0.947 0.771 0.130
27 Fe 0.275 0.377 0.627
28 Fe 0.771 0.947 0.630
29 Fe 0.008 0.821 0.379
30 Fe 0.504 0.383 0.379
31 Fe 0.821 0.008 0.879
32 Fe 0.383 0.504 0.879
33 Si 0.102 0.917 0.191
34 Si 0.917 0.102 0.691
35 Si 0.167 0.981 0.440
36 Si 0.665 0.538 0.442
37 Si 0.981 0.167 0.940
38 Si 0.538 0.665 0.942
39 Si 0.041 0.419 0.189
40 Si 0.603 0.921 0.190
41 Si 0.419 0.041 0.689
42 Si 0.921 0.603 0.690
43 Si 0.164 0.480 0.440
44 Si 0.666 0.040 0.442
45 Si 0.480 0.164 0.940
46 Si 0.040 0.666 0.942
47 Si 0.542 0.422 0.189
48 Si 0.422 0.542 0.689
49 O 0.672 0.335 0.112
50 O 0.951 0.090 0.201
51 O 0.523 0.590 0.199
52 O 0.419 0.743 0.022
53 O 0.335 0.672 0.612
54 O 0.505 0.546 0.423
55 O 0.986 0.238 0.023
56 O 0.258 0.928 0.179
57 O 0.090 0.951 0.701
58 O 0.001 0.141 0.424
59 O 0.590 0.523 0.699
60 O 0.743 0.419 0.522
61 O 0.546 0.505 0.923
62 O 0.793 0.471 0.362
63 O 0.295 0.968 0.364
64 O 0.876 0.438 0.172
65 O 0.238 0.986 0.523
66 O 0.928 0.258 0.679
67 O 0.141 0.001 0.924
68 O 0.626 0.712 0.455
69 O 0.593 0.839 0.113
70 O 0.108 0.299 0.271
71 O 0.605 0.811 0.274
72 O 0.471 0.793 0.862
73 O 0.968 0.295 0.864
74 O 0.438 0.876 0.672
75 O 0.170 0.339 0.111
76 O 0.449 0.093 0.199
77 O 0.131 0.337 0.449
78 O 0.712 0.626 0.955
79 O 0.839 0.593 0.613
80 O 0.299 0.108 0.771
81 O 0.811 0.605 0.774
82 O 0.022 0.586 0.201
83 O 0.920 0.740 0.023
84 O 0.339 0.170 0.611
85 O 0.509 0.046 0.422
86 O 0.483 0.240 0.022
87 O 0.760 0.932 0.177
88 O 0.093 0.449 0.699
89 O 0.337 0.131 0.949
90 O 0.001 0.643 0.425
91 O 0.586 0.022 0.701
92 O 0.740 0.920 0.523
93 O 0.046 0.509 0.922
94 O 0.291 0.464 0.362
95 O 0.799 0.974 0.365
96 O 0.240 0.483 0.522
97 O 0.379 0.437 0.172
98 O 0.932 0.760 0.677
99 O 0.643 0.001 0.925
100 O 0.624 0.215 0.456
101 O 0.090 0.841 0.111
102 O 0.104 0.798 0.270
103 O 0.609 0.313 0.275
104 O 0.464 0.291 0.862
105 O 0.974 0.799 0.865
106 O 0.437 0.379 0.672
107 O 0.215 0.624 0.956
108 O 0.138 0.835 0.448
109 O 0.841 0.090 0.611
110 O 0.798 0.104 0.770
111 O 0.313 0.609 0.775
112 O 0.835 0.138 0.948

=====

Which value of M_tot does entry 4 give? 0.000 μB per atom

=====

Look up the M_tot of the second one. 0.714 μB per atom